VASP calculation (r2SCAN) on Sr3TeO6 after structural relaxation.

* formation enthalpy at 0 K: -2572 meV/atom
* space group: P2_1/c (14)

Lattice parameters (Å, degrees): 5.864 6.063 8.388 90.00 89.87 90.00
Fractional coordinates of all 20 atoms:
Sr  0.000  0.500  0.500
Sr  0.013  0.953  0.747
Sr  0.487  0.453  0.753
Sr  0.500  0.000  0.000
Sr  0.513  0.547  0.247
Sr  0.987  0.047  0.253
Te  0.000  0.500  0.000
Te  0.500  0.000  0.500
O  0.096  0.456  0.218
O  0.171  0.239  0.939
O  0.234  0.178  0.542
O  0.266  0.678  0.958
O  0.329  0.739  0.561
O  0.404  0.956  0.282
O  0.596  0.044  0.718
O  0.671  0.261  0.439
O  0.734  0.322  0.042
O  0.766  0.822  0.458
O  0.829  0.761  0.061
O  0.904  0.544  0.782